The following is a PBE calculation of crystalline SnH4 at its relaxed geometry, from the Materials Project.

Results
Symmetry ... Ama2, No. 40
DFT total energy ... -31.26 eV for the cell shown
Energy of formation ... 0.25 eV per atom
Energy above the most stable polymorph in this dataset ... 0.981 eV/f.u.

The structure in extended XYZ format:
```
10
Lattice="8.276 0.000 0.000 0.000 3.268 2.010 0.000 -3.268 2.010" Properties=species:S:1:pos:R:3 pbc="T T T"
Sn 0.000 0.000 0.000
Sn 4.138 0.000 0.000
H 0.698 1.117 2.596
H 2.069 -1.451 2.430
H 2.069 -0.695 2.300
H 3.440 1.117 2.596
H 4.836 -1.117 2.596
H 6.207 0.695 2.300
H 6.207 1.451 2.430
H 7.578 -1.117 2.596
```